Entry 1:
CaPrZn2, relaxed, DFT PBE; theoretical density = 5.13 g cm⁻³; calculated total energy = -42.144 eV per cell; formation enthalpy at 0 K = -0.31 eV per atom
1.0
7.388 0.000 0.000
0.000 7.388 0.000
0.000 0.000 7.388
Ca Pr Zn
4 4 8
Direct
0.000 0.000 0.000
0.000 0.500 0.500
0.500 0.000 0.500
0.500 0.500 0.000
0.000 0.000 0.500
0.000 0.500 0.000
0.500 0.000 0.000
0.500 0.500 0.500
0.250 0.250 0.250
0.250 0.250 0.750
0.250 0.750 0.250
0.250 0.750 0.750
0.750 0.250 0.250
0.750 0.250 0.750
0.750 0.750 0.250
0.750 0.750 0.750

Entry 2:
Ca4Pt, relaxed, DFT PBE; theoretical density = 2.98 g cm⁻³; calculated total energy = -29.707 eV per cell; formation enthalpy at 0 K = -0.15 eV per atom
1.0
0.000 5.830 5.830
5.830 0.000 5.830
5.830 5.830 0.000
Ca Pt
8 2
Direct
0.225 0.758 0.758
0.242 0.242 0.242
0.242 0.242 0.775
0.242 0.775 0.242
0.758 0.225 0.758
0.758 0.758 0.225
0.758 0.758 0.758
0.775 0.242 0.242
0.375 0.375 0.375
0.625 0.625 0.625